(1)
Compound: Cs3CaFeP4O14
Source: the Materials Project
Functional: GGA+U
Structure: optimized geometry

Lattice parameters (Å, degrees): 9.4546 11.4214 15.3228 90.00 90.00 90.00
Positions (direct):
Cs 0.1274 0.1299 0.3702
Cs 0.1762 0.4894 0.5896
Cs 0.2217 0.7872 0.3042
Cs 0.2783 0.2128 0.8042
Cs 0.3238 0.5106 0.0896
Cs 0.3726 0.8701 0.8702
Cs 0.6274 0.3701 0.6298
Cs 0.6762 0.0106 0.4104
Cs 0.7217 0.7128 0.6958
Cs 0.7783 0.2872 0.1958
Cs 0.8238 0.9894 0.9104
Cs 0.8726 0.6299 0.1298
Ca 0.0445 0.6351 0.8831
Ca 0.4555 0.3649 0.3831
Ca 0.5445 0.8649 0.1169
Ca 0.9555 0.1351 0.6169
Fe 0.1502 0.1238 0.0732
Fe 0.3498 0.8762 0.5732
Fe 0.6502 0.3762 0.9268
Fe 0.8498 0.6238 0.4268
P 0.0201 0.8549 0.5220
P 0.0803 0.4615 0.3281
P 0.0842 0.8717 0.7081
P 0.1515 0.8502 0.0625
P 0.3485 0.1498 0.5625
P 0.4158 0.1283 0.2081
P 0.4197 0.5385 0.8281
P 0.4799 0.1451 0.0220
P 0.5201 0.6451 0.4780
P 0.5803 0.0385 0.6719
P 0.5842 0.6283 0.2919
P 0.6515 0.6498 0.9375
P 0.8485 0.3502 0.4375
P 0.9158 0.3717 0.7919
P 0.9197 0.9615 0.1719
P 0.9799 0.3549 0.9780
O 0.0000 0.3136 0.8763
O 0.0000 0.8136 0.6237
O 0.0290 0.4804 0.9869
O 0.0296 0.9953 0.7220
O 0.0310 0.5793 0.3707
O 0.0491 0.8666 0.1483
O 0.0557 0.7879 0.7824
O 0.0709 0.2691 0.0301
O 0.0814 0.4690 0.2297
O 0.0865 0.7570 0.0044
O 0.1501 0.9713 0.0150
O 0.1775 0.8354 0.5010
O 0.2044 0.1811 0.5996
O 0.2124 0.4131 0.3719
O 0.2435 0.8707 0.6811
O 0.2565 0.1293 0.1811
O 0.2876 0.5869 0.8719
O 0.2956 0.8189 0.0996
O 0.3225 0.1646 0.0010
O 0.3499 0.0287 0.5150
O 0.4135 0.2430 0.5044
O 0.4186 0.5310 0.7297
O 0.4291 0.7309 0.5301
O 0.4443 0.2121 0.2824
O 0.4509 0.1334 0.6483
O 0.4690 0.4207 0.8707
O 0.4704 0.0047 0.2220
O 0.4710 0.5196 0.4869
O 0.5000 0.1864 0.1237
O 0.5000 0.6864 0.3763
O 0.5290 0.0196 0.0131
O 0.5296 0.5047 0.2780
O 0.5310 0.9207 0.6293
O 0.5491 0.6334 0.8517
O 0.5557 0.7121 0.2176
O 0.5709 0.2309 0.9699
O 0.5814 0.0310 0.7703
O 0.5865 0.7430 0.9956
O 0.6501 0.5287 0.9850
O 0.6775 0.6646 0.4990
O 0.7044 0.3189 0.4004
O 0.7124 0.0869 0.6281
O 0.7435 0.6293 0.3189
O 0.7565 0.3707 0.8189
O 0.7876 0.9131 0.1281
O 0.7956 0.6811 0.9004
O 0.8225 0.3354 0.9990
O 0.8499 0.4713 0.4850
O 0.9135 0.2570 0.4956
O 0.9186 0.9690 0.2703
O 0.9291 0.7691 0.4699
O 0.9443 0.2879 0.7176
O 0.9509 0.3666 0.3517
O 0.9690 0.0793 0.1293
O 0.9704 0.4953 0.7780
O 0.9710 0.9804 0.5131

formation energy from the elements	-2.74	eV per atom
volume	414	Å³/f.u.

(2)
Compound: Na4WN2O2
Source: the Materials Project
Functional: GGA+U
Structure: optimized geometry

Lattice parameters (Å, degrees): 5.9195 5.9537 9.0655 83.35 71.44 69.74
Positions (direct):
Na 0.0207 0.2566 0.4488
Na 0.1138 0.7218 0.1876
Na 0.2589 0.2363 0.0154
Na 0.4447 0.2418 0.5937
Na 0.5553 0.7582 0.4063
Na 0.7411 0.7637 0.9846
Na 0.8862 0.2782 0.8124
Na 0.9793 0.7434 0.5512
W 0.3415 0.7185 0.7649
W 0.6585 0.2815 0.2351
N 0.2016 0.9621 0.6414
N 0.3404 0.4576 0.3540
N 0.6596 0.5424 0.6460
N 0.7984 0.0379 0.3586
O 0.1419 0.5121 0.8185
O 0.3507 0.8414 0.9474
O 0.6493 0.1586 0.0526
O 0.8581 0.4879 0.1815

formation energy from the elements	-1.04	eV per atom
volume	142	Å³/f.u.

(3)
Compound: ZnFe2O4
Source: the Materials Project
Functional: GGA+U
Structure: optimized geometry

Lattice parameters (Å, degrees): 4.9772 5.7695 10.2171 90.00 90.97 90.00
Positions (direct):
Zn 0.0251 0.0000 0.2486
Zn 0.3514 0.0032 0.7476
Zn 0.6486 0.5032 0.2524
Zn 0.9749 0.5000 0.7514
Fe 0.0115 0.5003 0.4901
Fe 0.0120 0.5024 0.0162
Fe 0.4992 0.7502 0.0013
Fe 0.4999 0.2512 0.5000
Fe 0.5001 0.7512 0.5000
Fe 0.5008 0.2502 0.9987
Fe 0.9880 0.0024 0.9838
Fe 0.9885 0.0003 0.5099
O 0.1654 0.7469 0.8893
O 0.1686 0.2484 0.6077
O 0.1706 0.7540 0.6085
O 0.1774 0.2540 0.8804
O 0.3054 0.0027 0.4031
O 0.3117 0.9978 0.0933
O 0.3523 0.4985 0.3960
O 0.3580 0.5026 0.1022
O 0.6420 0.0026 0.8978
O 0.6477 0.9985 0.6040
O 0.6883 0.4978 0.9067
O 0.6946 0.5027 0.5969
O 0.8226 0.7540 0.1196
O 0.8294 0.2540 0.3915
O 0.8314 0.7484 0.3923
O 0.8346 0.2469 0.1107

formation energy from the elements	-1.50	eV per atom
distance to the lowest polymorph of the same formula	245	meV per atom
volume	73	Å³/f.u.